Record 1
Below is crystalline Nb2V3Cu15S20 at its relaxed geometry, with properties calculated at the PBE level.

Values from the calculation:
Calculated formation energy (eV/atom): -0.85
Size of the total moment (μB/f.u.): 0.0
VASP energy (eV per atom): -5.39

Geometry as extended XYZ:
```
40
Lattice="-4.944 -1.947 -1.231 2.251 -3.468 -3.557 2.431 -18.655 19.731" Properties=species:S:1:pos:R:3 pbc="T T T"
V 1.701 -13.055 13.808
S 0.698 -11.474 9.668
S 0.211 -7.744 5.722
Cu -1.743 -6.570 5.304
V 1.216 -9.327 9.865
Cu 3.314 -18.524 15.979
S 2.544 -18.960 13.799
Nb 0.244 -1.869 1.977
Cu -0.284 -17.763 17.142
Cu -0.770 -14.032 13.196
S -2.154 -10.756 7.162
Cu 0.973 -7.462 7.893
V 0.730 -5.600 5.922
S 1.664 -11.563 5.928
Cu 1.369 -3.600 0.195
Cu 2.341 -11.062 8.087
Cu 1.459 -11.193 11.838
S 1.177 -7.834 1.985
Nb 2.187 -16.785 17.753
Cu 1.855 -7.331 4.141
S -3.046 -3.267 -0.805
S -0.731 -14.347 7.127
S -0.245 -18.075 11.072
Cu -1.256 -10.301 9.250
S -0.301 -4.124 1.767
S -2.638 -7.027 3.217
S 1.644 -19.045 17.550
Cu 0.489 -3.753 3.969
Cu -2.229 -2.839 1.357
S -1.665 -6.867 -0.658
S 0.600 -4.038 -1.983
S 1.183 -15.204 13.611
S -1.217 -10.617 3.182
Cu 1.942 -14.902 15.761
S -1.101 -18.189 14.977
S -1.667 -14.486 11.107
S 2.150 -15.293 9.874
Cu 2.827 -14.792 12.033
S 0.279 -21.789 15.124
Cu 0.000 0.000 0.000
```

=====

Record 2
Below is crystalline TiGePd at its relaxed geometry, with properties calculated at the PBE level.

Values from the calculation:
Calculated formation energy (eV/atom): -0.69
Size of the total moment (μB/f.u.): 0.0
VASP energy (eV per atom): -6.58

Geometry as extended XYZ:
```
9
Lattice="0.000 0.000 -3.720 -3.332 -5.772 0.000 -3.332 5.772 0.000" Properties=species:S:1:pos:R:3 pbc="T T T"
Ti -3.925 0.000 0.000
Pd -2.466 4.271 -1.860
Pd -2.466 -4.271 -1.860
Ti -1.370 2.373 0.000
Ge -3.332 1.924 -1.860
Ti -1.370 -2.373 0.000
Ge 0.000 0.000 0.000
Ge -3.332 -1.924 -1.860
Pd -1.733 0.000 -1.860
```

=====

Record 3
Below is crystalline PrGa3Au at its relaxed geometry, with properties calculated at the PBE level.

Values from the calculation:
Calculated formation energy (eV/atom): -0.61
VASP energy (eV per atom): -4.04

Geometry as extended XYZ:
```
5
Lattice="4.336 0.000 0.000 0.000 4.336 0.000 2.168 2.168 5.546" Properties=species:S:1:pos:R:3 pbc="T T T"
Ga 2.168 4.336 2.772
Ga 4.336 2.168 2.772
Pr 4.336 4.336 0.134
Au 4.336 4.336 4.220
Ga 2.168 2.168 1.194
```

=====

Record 4
Below is crystalline Co2SbTe at its relaxed geometry, with properties calculated at the PBE level.

Values from the calculation:
Calculated formation energy (eV/atom): -0.22
Size of the total moment (μB/f.u.): 0.0
VASP energy (eV per atom): -5.49

Geometry as extended XYZ:
```
4
Lattice="-3.100 -1.289 1.981 2.686 -2.522 -1.274 2.647 0.547 4.498" Properties=species:S:1:pos:R:3 pbc="T T T"
Sb 0.152 -1.427 3.145
Te 0.757 -2.111 -0.189
Co 0.660 0.136 1.122
Co 1.986 0.410 3.375
```

=====

Record 5
Below is crystalline SmTlZn at its relaxed geometry, with properties calculated at the PBE level.

Values from the calculation:
Calculated formation energy (eV/atom): -0.34
VASP energy (eV per atom): -3.12

Geometry as extended XYZ:
```
6
Lattice="2.293 3.054 -2.821 -3.695 -2.465 -1.677 -4.657 5.505 2.172" Properties=species:S:1:pos:R:3 pbc="T T T"
Tl -3.196 5.343 -0.810
Tl -2.863 0.751 -1.515
Zn -5.192 3.503 -0.429
Sm 0.000 0.000 0.000
Zn -0.867 2.590 -1.897
Sm -2.329 2.752 1.086
```

=====

Record 6
Below is crystalline Ba2P3Pd at its relaxed geometry, with properties calculated at the PBE level.

Values from the calculation:
Calculated formation energy (eV/atom): -0.91
VASP energy (eV per atom): -5.12

Geometry as extended XYZ:
```
24
Lattice="-2.357 -1.738 -6.641 5.843 -2.607 -1.391 -3.765 -11.635 4.381" Properties=species:S:1:pos:R:3 pbc="T T T"
Ba -1.745 -7.390 0.563
P 0.489 -12.021 -4.383
Ba 0.141 -1.570 -1.616
Ba -2.049 -10.019 -2.558
P -3.656 -12.912 -2.389
P -3.485 -10.393 0.568
P -1.835 -7.111 -4.705
P -0.767 -3.959 0.732
Ba -0.192 -4.220 -4.819
Pd 2.313 -6.110 -6.367
P -2.964 -12.373 -0.392
Ba -0.087 -11.761 1.168
P -1.111 -6.605 -2.710
P 3.378 -3.068 -1.263
P 0.832 -9.375 -0.941
Pd 1.141 -11.403 -2.174
Pd -1.420 -4.577 -1.477
P 3.207 -5.587 -4.219
Ba 1.770 -5.962 -1.093
Pd -2.591 -9.870 2.716
P 2.685 -3.608 -3.259
Ba -0.420 -14.411 -2.036
P 1.556 -8.870 1.053
Ba 1.467 -8.590 -4.215
```

=====

Record 7
Below is crystalline MgTi2Zn2P2O10 at its relaxed geometry, with properties calculated at the PBE level.

Values from the calculation:
Calculated formation energy (eV/atom): -2.49
Size of the total moment (μB/f.u.): 0.1
VASP energy (eV per atom): -6.80
Energy relative to the lowest polymorph listed for this composition (kJ/mol of atoms): 0.0

Geometry as extended XYZ:
```
17
Lattice="1.607 -2.637 5.228 1.590 -4.773 -5.432 7.215 -2.210 3.976" Properties=species:S:1:pos:R:3 pbc="T T T"
O 2.270 -4.555 -1.678
O 1.234 -1.298 0.513
Zn 7.437 -6.738 2.216
O 5.624 -6.219 0.983
P 7.257 -4.508 4.391
O 4.599 -3.305 2.721
Zn 4.128 -1.632 1.859
O 6.992 -4.907 2.909
O 3.944 -6.316 -1.353
O 5.964 -3.898 5.019
Ti 4.333 -2.489 4.578
O 3.560 -4.535 0.489
P 2.904 -5.470 -0.538
O 7.425 -5.892 -1.120
Mg 3.348 -5.162 -3.221
Ti 5.324 -4.384 1.358
O 7.636 -5.756 5.253
```

=====

Record 8
Below is crystalline Na6Ta4In4Si7S5O48 at its relaxed geometry, with properties calculated at the PBE level.

Values from the calculation:
Calculated formation energy (eV/atom): -2.59
Size of the total moment (μB/f.u.): 0.0
VASP energy (eV per atom): -7.04

Geometry as extended XYZ:
```
222
Lattice="18.006 0.047 -0.005 -4.481 7.762 -0.002 -0.007 -0.010 22.929" Properties=species:S:1:pos:R:3 pbc="T T T"
O 15.067 2.650 21.373
O 1.658 0.112 6.934
Na 13.469 7.745 22.915
Ta 17.857 0.169 19.563
S 12.165 5.578 5.753
Si 15.332 0.036 17.118
O 14.068 6.391 1.956
Na 16.358 2.870 17.247
O 14.257 6.305 18.397
Na 4.503 2.575 7.695
S 1.902 7.714 17.248
S 14.779 0.328 1.838
O 9.928 1.386 18.420
In 8.955 5.322 7.363
O 0.671 6.620 1.622
O -1.821 4.853 8.103
In 4.465 2.666 15.743
O -0.610 1.442 20.891
S 3.141 4.845 13.311
O 9.626 1.458 9.323
In 0.081 5.165 7.217
O 14.534 1.481 17.079
O -0.594 6.609 13.328
Si 3.197 0.325 13.449
O 8.051 1.425 6.899
O 11.896 2.714 9.824
O 8.312 3.441 22.295
Ta 17.855 0.090 8.175
S 1.365 2.849 9.580
O 11.908 7.696 15.853
S 10.315 2.223 17.241
Si 5.802 0.338 1.967
O 12.605 1.231 12.181
O 3.761 1.068 21.293
S -3.196 5.586 17.201
O 16.271 0.154 1.832
In 13.547 2.565 4.305
O 10.719 5.428 5.849
O 0.478 3.640 17.163
O 10.966 5.621 22.403
O 10.622 0.109 7.035
In 4.594 7.758 14.770
O 10.185 3.865 8.164
O 14.123 4.111 0.720
O 7.064 4.780 8.149
O 7.434 0.206 2.079
O 5.232 4.168 0.700
In 13.414 2.571 15.683
O 5.452 6.491 9.466
O -1.316 3.733 19.620
O 12.739 1.126 21.226
Ta 0.033 5.183 0.473
O 5.151 4.046 17.215
Si -1.374 2.928 21.023
O 15.093 2.464 5.747
O 2.831 2.671 9.771
O -3.631 6.499 9.200
O 1.616 5.388 5.753
O 0.580 6.838 8.283
S 12.230 0.333 13.292
Si 5.866 5.510 17.139
O -0.627 3.753 22.237
O 6.266 2.389 5.641
O 12.645 3.888 21.220
Ta 4.519 7.776 3.350
O 9.700 3.557 17.322
O -2.654 7.636 4.497
O 0.775 1.452 9.388
O 12.450 6.293 4.485
Si 12.174 4.859 13.426
O 7.346 0.042 18.430
O -0.678 1.634 4.341
O 3.395 4.159 14.574
O 8.337 6.741 13.129
O 5.445 1.320 0.660
Na 0.016 5.202 15.215
O 1.006 6.556 17.398
In -0.077 5.339 11.732
O 17.147 1.388 7.007
O 0.710 3.395 10.773
O -1.059 6.591 5.830
O 9.959 3.960 1.850
O 1.045 1.413 1.826
Na 8.994 0.081 11.401
O 14.713 4.134 3.365
O 2.960 7.704 9.233
O 12.732 6.364 6.925
Ta 4.620 7.663 8.208
O 11.865 2.974 3.195
O 10.748 0.242 13.295
O 7.800 3.771 19.574
O -1.013 6.604 22.234
O 12.753 0.830 14.585
Ta 4.499 7.633 19.631
O 6.171 7.723 20.851
O -3.532 6.342 15.962
O 2.828 2.511 0.683
O 7.437 5.361 10.795
O 5.604 4.107 3.118
O 12.883 4.089 12.147
Si 1.368 7.431 9.528
O 0.656 1.394 15.903
O 5.319 3.903 9.928
In 9.028 5.252 18.665
O 0.907 1.318 18.513
O 3.643 6.456 20.874
O 12.902 6.348 13.576
Na 8.938 0.210 0.069
O 6.081 7.638 4.423
O 7.954 6.349 5.723
In 9.138 5.060 0.269
O 1.010 3.831 1.661
O 14.231 1.234 9.982
O 15.410 2.816 14.643
Ta 17.974 0.058 14.747
O 3.961 0.978 14.699
Si 6.379 5.115 9.572
Na -4.380 7.594 11.484
O 5.650 1.230 17.303
Ta 9.066 5.093 11.851
O 2.924 2.345 17.170
Na 9.004 5.321 15.321
O 14.455 1.182 0.660
O 14.234 4.261 17.144
O 5.557 6.392 15.832
O 14.356 3.953 9.734
O 12.348 3.995 14.772
Na -2.755 4.786 5.797
Si 7.733 2.904 20.908
Ta 4.610 2.465 11.058
O 7.264 5.104 1.709
Na 9.055 5.198 3.865
O 3.607 6.444 4.371
Si -2.616 5.202 9.442
Na 6.145 4.975 5.948
O 7.819 6.690 22.232
O 7.475 5.324 17.241
Ta 13.455 2.765 10.866
O 5.174 1.202 9.776
O 9.639 7.061 8.213
Na 13.453 2.628 19.113
Si 7.185 2.629 13.486
Si 2.630 5.137 21.053
S 1.896 2.612 1.830
O 2.596 2.848 3.090
O -1.866 5.492 10.824
O 3.612 3.863 21.402
O 3.908 6.283 6.999
O -0.646 3.789 5.781
O 10.754 4.917 19.741
Na 13.506 2.395 7.522
O 14.315 0.903 3.091
Na 1.590 7.581 13.273
Ta 4.652 2.578 22.414
O -2.757 7.579 20.923
O -0.658 6.928 19.832
O 11.947 7.686 9.399
O 4.040 4.086 5.615
O -1.557 5.072 1.583
Si 3.203 5.520 5.713
O 10.577 5.078 13.144
O 9.650 3.643 10.808
In 0.001 0.050 3.366
Ta 13.442 2.758 22.517
O 1.624 5.420 22.309
S 2.577 0.028 5.767
S 16.157 2.643 13.374
O 16.346 0.266 18.471
O 8.323 1.376 20.692
O 11.859 2.427 0.615
O 6.402 2.849 14.870
O 1.543 0.195 13.593
Si 10.277 7.495 9.601
O 12.758 6.484 20.709
Na 4.341 2.762 18.934
S 7.674 7.529 21.039
Na 11.877 5.359 1.879
Si 10.284 2.943 9.451
O 8.373 3.560 5.710
O 3.498 1.263 12.102
S 5.837 4.884 1.893
O -0.918 3.715 13.227
O 6.062 2.664 21.219
Si 14.856 4.942 1.995
Si -1.287 2.302 5.682
O 6.091 2.390 12.218
O 3.719 4.132 12.144
O 9.983 6.478 17.215
O 8.238 1.535 4.459
O 5.112 6.202 1.953
O 1.321 6.646 10.948
O 3.389 1.277 5.779
Na 7.294 3.000 17.170
O 1.879 4.848 19.685
Si 11.674 5.248 20.992
O 11.800 2.303 17.250
In 4.438 2.543 4.289
O 10.040 6.473 10.846
O 9.671 6.745 1.723
O -1.717 5.484 17.261
O 3.738 6.223 13.310
O 1.664 4.980 13.200
Si 1.336 2.231 17.171
O 12.902 4.299 5.806
O 8.111 3.936 13.148
O 2.657 7.556 15.997
O 12.506 1.361 5.680
O 9.957 1.249 2.103
S 7.747 2.227 5.718
O 8.259 6.988 19.823
O 8.027 1.205 13.441
O 9.785 1.649 15.991
O 5.080 0.935 3.262
In 0.092 4.999 18.739
Si 7.156 7.786 5.729
Si 10.887 2.615 1.977
S -1.288 7.445 21.038
O 15.262 2.457 12.215
O 1.193 3.624 8.363
O 5.252 6.351 18.493
O 16.974 1.353 13.462
Na 0.112 5.116 4.012
```